Mn4Ga3Co8Ge: optimized geometry, PBE.

Cell: 13.4120 13.4120 13.4120 Å, 17.35 17.35 17.35°
Last column: nearest neighbours and their distance in Å.
Atoms (fractional coordinates):
Co: 0.9379 0.9379 0.9379  1 Ge 2.46, 4 Mn 2.47-2.50, 3 Ga 2.48
Co: 0.0621 0.0621 0.0621  1 Ge 2.46, 4 Mn 2.47-2.50, 3 Ga 2.48
Ga: 0.2499 0.2499 0.2499  8 Co 2.47-2.51
Mn: 0.3756 0.3756 0.3756  8 Co 2.44-2.49
Co: 0.5628 0.5628 0.5628  4 Mn 2.44-2.48, 4 Ga 2.47-2.49
Mn: 0.1251 0.1251 0.1251  8 Co 2.47-2.50
Co: 0.6869 0.6869 0.6869  3 Ge 2.47, 4 Mn 2.47-2.49, 1 Ga 2.51
Co: 0.8125 0.8125 0.8125  4 Ga 2.47-2.48, 4 Mn 2.47-2.48
Ga: 0.7501 0.7501 0.7501  8 Co 2.47-2.51
Mn: 0.6244 0.6244 0.6244  8 Co 2.44-2.49
Co: 0.1875 0.1875 0.1875  4 Ga 2.47-2.48, 4 Mn 2.47-2.48
Ga: 0.5000 0.5000 0.5000  8 Co 2.48-2.49
Ge: 0.0000 0.0000 0.0000  8 Co 2.46-2.47
Co: 0.3131 0.3131 0.3131  3 Ge 2.47, 4 Mn 2.47-2.49, 1 Ga 2.51
Mn: 0.8749 0.8749 0.8749  8 Co 2.47-2.50
Co: 0.4372 0.4372 0.4372  4 Mn 2.44-2.48, 4 Ga 2.47-2.49

Summary:
Symmetry: No. 166
M_tot (μB/cell): 17.1
Crystal system: trigonal
Energy relative to the elements (eV/atom): -0.25

=====

Zr6Ga2CoH10: optimized geometry, PBE.

Cell: 8.0613 8.0613 7.1925 Å, 90.00 90.00 120.00°
Last column: nearest neighbours and their distance in Å.
Atoms (fractional coordinates):
Ga: 0.3333 0.6667 0.4487  1 Ga 2.86, 6 H 2.90-2.94, 9 Zr 3.04-3.12
H: 0.8802 0.1226 0.7500  1 Co 1.69
Zr: 0.0000 0.7382 0.0000  7 H 2.09-2.20
Zr: 0.7382 0.0000 0.0000  7 H 2.09-2.20
Ga: 0.6667 0.3333 0.9487  1 Ga 2.86, 6 H 2.90-2.94, 9 Zr 3.04-3.12
H: 0.2425 0.1198 0.7500  1 Co 1.69
Co: 0.0000 0.0000 0.2500  5 H 1.69-1.80
H: 0.1180 0.7091 0.7500  4 Zr 2.04-2.10, 1 H 2.16
Co: 0.0000 0.0000 0.7500  5 H 1.69-1.80
Ga: 0.6667 0.3333 0.5513  1 Ga 2.86, 6 H 2.90-2.94, 9 Zr 3.04-3.12
H: 0.1226 0.8802 0.2500  1 Co 1.69
Zr: 0.0465 0.4243 0.7500  5 H 2.04-2.11
H: 0.2818 0.0000 0.5000  4 Zr 2.06-2.20, 3 H 2.14-2.27
Zr: 0.5757 0.6222 0.7500  5 H 2.04-2.11
H: 0.0000 0.0000 0.5000  2 Co 1.80
Zr: 0.4243 0.0465 0.2500  5 H 2.04-2.11
H: 0.0000 0.0000 0.0000  2 Co 1.80
H: 0.5912 0.8820 0.7500  4 Zr 2.04-2.10, 1 H 2.16
Zr: 0.2618 0.2618 0.5000  7 H 2.09-2.20
Ga: 0.3333 0.6667 0.0513  1 Ga 2.86, 6 H 2.90-2.94, 9 Zr 3.04-3.12
H: 0.1198 0.2425 0.2500  1 Co 1.69
H: 0.7182 0.7182 0.0000  4 Zr 2.06-2.20, 3 H 2.14-2.27
H: 0.2909 0.4088 0.7500  4 Zr 2.04-2.10, 1 H 2.16
H: 0.7182 0.7182 0.5000  4 Zr 2.06-2.20, 3 H 2.14-2.27
H: 0.7575 0.8774 0.2500  1 Co 1.69
H: 0.2818 0.0000 0.0000  4 Zr 2.06-2.20, 3 H 2.14-2.27
H: 0.0000 0.2818 0.0000  4 Zr 2.06-2.20, 3 H 2.14-2.27
H: 0.8774 0.7575 0.7500  1 Co 1.69
H: 0.8820 0.5912 0.2500  4 Zr 2.04-2.10, 1 H 2.16
Zr: 0.3778 0.9535 0.7500  5 H 2.04-2.11
Zr: 0.6222 0.5757 0.2500  5 H 2.04-2.11
H: 0.4088 0.2909 0.2500  4 Zr 2.04-2.10, 1 H 2.16
Zr: 0.2618 0.2618 0.0000  7 H 2.09-2.20
Zr: 0.7382 0.0000 0.5000  7 H 2.09-2.20
Zr: 0.0000 0.7382 0.5000  7 H 2.09-2.20
H: 0.0000 0.2818 0.5000  4 Zr 2.06-2.20, 3 H 2.14-2.27
H: 0.7091 0.1180 0.2500  4 Zr 2.04-2.10, 1 H 2.16
Zr: 0.9535 0.3778 0.2500  5 H 2.04-2.11

Summary:
Symmetry: No. 190
M_tot (μB/cell): 0.0
Crystal system: hexagonal
Energy relative to the elements (eV/atom): -0.55

=====

HfGaCo: optimized geometry, PBE.

Cell: 6.9601 6.9601 3.2796 Å, 90.00 90.00 120.00°
Last column: nearest neighbours and their distance in Å.
Atoms (fractional coordinates):
Hf: 0.0000 0.5985 0.5000  5 Co 2.68-2.79, 6 Ga 2.85-2.96
Ga: 0.0000 0.2635 0.0000  4 Co 2.46-2.60
Co: 0.0000 0.0000 0.5000  6 Ga 2.46
Co: 0.6667 0.3333 0.0000  3 Ga 2.60, 6 Hf 2.68
Ga: 0.7365 0.7365 0.0000  4 Co 2.46-2.60
Ga: 0.2635 0.0000 0.0000  4 Co 2.46-2.60
Co: 0.3333 0.6667 0.0000  3 Ga 2.60, 6 Hf 2.68
Hf: 0.5985 0.0000 0.5000  5 Co 2.68-2.79, 6 Ga 2.85-2.96
Hf: 0.4015 0.4015 0.5000  5 Co 2.68-2.79, 6 Ga 2.85-2.96

Summary:
Symmetry: No. 189
Crystal system: hexagonal
Energy relative to the elements (eV/atom): -0.55

=====

HfGa5Co: optimized geometry, PBE.

Cell: 4.1410 4.1410 6.6349 Å, 90.00 90.00 90.00°
Last column: nearest neighbours and their distance in Å.
Atoms (fractional coordinates):
Ga: 0.5000 0.0000 0.6967  2 Co 2.45, 1 Ga 2.61
Hf: 0.0000 0.0000 0.0000  12 Ga 2.89-2.93
Co: 0.0000 0.0000 0.5000  8 Ga 2.45
Ga: 0.0000 0.5000 0.3033  2 Co 2.45, 1 Ga 2.61
Ga: 0.5000 0.5000 0.0000  8 Ga 2.89, 4 Hf 2.93
Ga: 0.0000 0.5000 0.6967  2 Co 2.45, 1 Ga 2.61
Ga: 0.5000 0.0000 0.3033  2 Co 2.45, 1 Ga 2.61

Summary:
Symmetry: No. 123
Crystal system: tetragonal
Energy relative to the elements (eV/atom): -0.36

=====

Hf2Ga3Co: optimized geometry, PBE.

Cell: 6.3044 7.6753 7.6879 Å, 64.03 66.56 66.64°
Last column: nearest neighbours and their distance in Å.
Atoms (fractional coordinates):
Hf: 0.0866 0.4493 0.9696  7 Ga 2.75-2.99, 1 Co 2.87
Hf: 0.9623 0.7496 0.2478  2 Co 2.70-2.78, 4 Ga 2.73-2.79
Ga: 0.7217 0.8737 0.8963  4 Ga 2.56-2.67, 2 Co 2.67-2.77
Ga: 0.8360 0.1579 0.1544  2 Co 2.41-2.43, 1 Ga 2.64
Ga: 0.8505 0.6538 0.6630  1 Co 2.46, 2 Ga 2.59-2.67
Ga: 0.1733 0.8352 0.8387  1 Co 2.37, 2 Ga 2.54-2.61
Ga: 0.4787 0.6141 0.6328  1 Co 2.53, 5 Ga 2.54-2.82
Hf: 0.5059 0.0281 0.5088  6 Ga 2.70-2.95, 1 Co 2.85
Hf: 0.0480 0.9793 0.4721  6 Ga 2.70-2.95
Co: 0.2437 0.0002 0.0014  4 Ga 2.37-2.43
Co: 0.2651 0.5039 0.4967  6 Ga 2.46-2.56
Ga: 0.4562 0.7854 0.2581  3 Co 2.43-2.51, 2 Ga 2.56-2.63, 1 Hf 2.70
Ga: 0.4755 0.2326 0.7507  3 Co 2.42-2.55, 3 Ga 2.56-2.69
Ga: 0.7222 0.3891 0.3685  1 Co 2.56, 5 Ga 2.63-2.82
Ga: 0.1731 0.3365 0.3359  2 Co 2.46-2.52, 1 Ga 2.63, 2 Hf 2.70-2.73
Co: 0.4848 0.1409 0.1095  4 Ga 2.43-2.55, 1 Co 2.69
Hf: 0.9504 0.2419 0.7526  5 Ga 2.71-3.03, 2 Co 2.74-2.91
Hf: 0.5061 0.5285 0.0431  8 Ga 2.73-3.03, 1 Co 2.84

Summary:
Symmetry: No. 1
M_tot (μB/cell): 0.0
Crystal system: triclinic
Energy relative to the elements (eV/atom): -0.44

=====

HfGaCo: optimized geometry, PBE.

Cell: 5.0279 5.0279 8.1831 Å, 90.00 90.00 119.25°
Last column: nearest neighbours and their distance in Å.
Atoms (fractional coordinates):
Hf: 0.3338 0.6662 0.1806  7 Co 2.87-3.00, 5 Ga 2.94-2.99, 4 Hf 2.96-3.07
Co: 0.3354 0.1561 0.0000  4 Co 2.50-2.59, 2 Ga 2.50-2.52, 2 Hf 2.77
Hf: 0.6624 0.3376 0.7114  5 Co 2.77-2.94, 7 Ga 2.82-3.08, 3 Hf 2.99-3.07
Ga: 0.6653 0.8332 0.5000  2 Co 2.48, 4 Ga 2.51-2.55
Ga: 0.1666 0.8334 0.5000  4 Ga 2.51-2.52, 2 Co 2.51
Co: 0.9947 0.0053 0.7466  4 Ga 2.47-2.51, 2 Co 2.56
Hf: 0.3338 0.6662 0.8194  7 Co 2.87-3.00, 5 Ga 2.94-2.99, 4 Hf 2.96-3.07
Co: 0.8439 0.6646 0.0000  4 Co 2.50-2.59, 2 Ga 2.50-2.52, 2 Hf 2.77
Ga: 0.1668 0.3347 0.5000  2 Co 2.48, 4 Ga 2.51-2.55
Ga: 0.8395 0.1605 0.0000  6 Co 2.47-2.52
Hf: 0.6624 0.3376 0.2886  5 Co 2.77-2.94, 7 Ga 2.82-3.08, 3 Hf 2.99-3.07
Co: 0.9947 0.0053 0.2534  4 Ga 2.47-2.51, 2 Co 2.56

Summary:
Symmetry: No. 38
M_tot (μB/cell): 0.0
Crystal system: orthorhombic
Energy relative to the elements (eV/atom): -0.43

=====

Hf6Ga16Co7: optimized geometry, PBE.

Cell: 8.4943 8.4943 8.4943 Å, 60.00 60.00 60.00°
Last column: nearest neighbours and their distance in Å.
Atoms (fractional coordinates):
Hf: 0.6951 0.3049 0.6951  8 Ga 2.75-3.02, 4 Co 3.07
Ga: 0.1206 0.6381 0.1206  4 Co 2.51-2.63, 3 Ga 2.72
Ga: 0.1206 0.1206 0.6381  4 Co 2.51-2.63, 3 Ga 2.72
Ga: 0.8794 0.8794 0.3619  4 Co 2.51-2.63, 3 Ga 2.72
Hf: 0.6951 0.3049 0.3049  8 Ga 2.75-3.02, 4 Co 3.07
Co: 0.5000 0.0000 0.5000  8 Ga 2.46-2.63
Hf: 0.3049 0.3049 0.6951  8 Ga 2.75-3.02, 4 Co 3.07
Ga: 0.6600 0.6600 0.0200  3 Co 2.46, 3 Ga 2.72
Co: 0.5000 0.5000 0.0000  8 Ga 2.46-2.63
Ga: 0.1206 0.1206 0.1206  4 Co 2.51-2.63, 3 Ga 2.72
Ga: 0.8794 0.8794 0.8794  4 Co 2.51-2.63, 3 Ga 2.72
Ga: 0.9800 0.3400 0.3400  3 Co 2.46, 3 Ga 2.72
Co: 0.5000 0.0000 0.0000  8 Ga 2.46-2.63
Ga: 0.3400 0.3400 0.9800  3 Co 2.46, 3 Ga 2.72
Co: 0.0000 0.0000 0.5000  8 Ga 2.46-2.63
Hf: 0.6951 0.6951 0.3049  8 Ga 2.75-3.02, 4 Co 3.07
Hf: 0.3049 0.6951 0.3049  8 Ga 2.75-3.02, 4 Co 3.07
Co: 0.0000 0.5000 0.0000  8 Ga 2.46-2.63
Ga: 0.3619 0.8794 0.8794  4 Co 2.51-2.63, 3 Ga 2.72
Ga: 0.3400 0.9800 0.3400  3 Co 2.46, 3 Ga 2.72
Co: 0.0000 0.0000 0.0000  8 Ga 2.51
Ga: 0.3400 0.3400 0.3400  3 Co 2.46, 3 Ga 2.72
Hf: 0.3049 0.6951 0.6951  8 Ga 2.75-3.02, 4 Co 3.07
Ga: 0.0200 0.6600 0.6600  3 Co 2.46, 3 Ga 2.72
Co: 0.0000 0.5000 0.5000  8 Ga 2.46-2.63
Ga: 0.8794 0.3619 0.8794  4 Co 2.51-2.63, 3 Ga 2.72
Ga: 0.6381 0.1206 0.1206  4 Co 2.51-2.63, 3 Ga 2.72
Ga: 0.6600 0.6600 0.6600  3 Co 2.46, 3 Ga 2.72
Ga: 0.6600 0.0200 0.6600  3 Co 2.46, 3 Ga 2.72

Summary:
Symmetry: No. 225
M_tot (μB/cell): 2.6
Crystal system: cubic
Energy relative to the elements (eV/atom): -0.40

=====

Hf2Ga3Co: optimized geometry, PBE.

Cell: 4.1867 5.3169 5.2669 Å, 92.63 113.42 66.81°
Last column: nearest neighbours and their distance in Å.
Atoms (fractional coordinates):
Ga: 0.0410 0.1371 0.2192  2 Co 2.37, 1 Ga 2.57
Ga: 0.4770 0.6710 0.6250  1 Co 2.36, 2 Ga 2.52
Hf: 0.7486 0.7149 0.2121  9 Ga 2.82-3.02, 3 Co 2.99-3.00
Co: 0.5445 0.2865 0.3755  4 Ga 2.36-2.53
Hf: 0.2497 0.2930 0.7923  3 Co 2.81-2.91, 8 Ga 2.84-2.97
Ga: 0.9392 0.8976 0.7759  3 Ga 2.52-2.57, 1 Co 2.53

Summary:
Symmetry: No. 8
M_tot (μB/cell): 0.0
Crystal system: monoclinic
Energy relative to the elements (eV/atom): -0.45